# 1
The following is a r²SCAN calculation of a relaxed structure of EuNi5As3, from the Materials Project database.

Computed properties:
As for the total DFT energy (no corrections): -16.417 eV per atom.

abc: 3.714 12.100 11.753
angles: 90.00 90.00 90.00
Space group Cmcm (No. 63)
One atom of each set of equivalent atoms:
Eu (0.000, 0.163, 0.250) (multiplicity 4)
Ni (0.000, 0.000, 0.000) (multiplicity 4)
Ni (0.000, 0.193, 0.567) (multiplicity 8)
Ni (0.000, 0.451, 0.144) (multiplicity 8)
As (0.000, 0.115, 0.750) (multiplicity 4)
As (0.000, 0.379, 0.543) (multiplicity 8)

***

# 2
The following is a r²SCAN calculation of a relaxed structure of EuNi2As2, from the Materials Project database.

Computed properties:
As for the total DFT energy (no corrections): -19.166 eV per atom.

abc: 4.087 4.087 10.127
angles: 90.00 90.00 90.00
Space group I4/mmm (No. 139)
One atom of each set of equivalent atoms:
Eu (0.000, 0.000, 0.000) (multiplicity 2)
Ni (0.000, 0.500, 0.250) (multiplicity 4)
As (0.000, 0.000, 0.365) (multiplicity 4)

***

# 3
The following is a r²SCAN calculation of a relaxed structure of Eu4As2O, from the Materials Project database.

Computed properties:
As for the total DFT energy (no corrections): -28.924 eV per atom.

abc: 4.757 4.757 16.020
angles: 90.00 90.00 90.00
Space group I4/mmm (No. 139)
One atom of each set of equivalent atoms:
Eu (0.000, 0.000, 0.174) (multiplicity 4)
Eu (0.000, 0.500, 0.000) (multiplicity 4)
As (0.000, 0.000, 0.365) (multiplicity 4)
O (0.000, 0.000, 0.000) (multiplicity 2)

***

# 4
The following is a r²SCAN calculation of a relaxed structure of Eu2As7Pd12, from the Materials Project database.

Computed properties:
As for the total DFT energy (no corrections): -22.330 eV per atom.

abc: 10.0573 10.0573 4.1334
angles: 90.00 90.00 120.00
Space group P3 (No. 143)
One atom of each set of equivalent atoms:
Eu (0.0000, 0.0000, 0.0000) (multiplicity 1)
Eu (0.3333, 0.6667, 0.5080) (multiplicity 1)
As (0.0768, 0.4502, 0.0092) (multiplicity 3)
As (0.2564, 0.2167, 0.4989) (multiplicity 3)
As (0.6667, 0.3333, 0.2477) (multiplicity 1)
Pd (0.0459, 0.2788, 0.5026) (multiplicity 3)
Pd (0.1012, 0.7128, 0.0047) (multiplicity 3)
Pd (0.4140, 0.1893, 0.9816) (multiplicity 3)
Pd (0.5236, 0.4404, 0.5291) (multiplicity 3)

***

# 5
The following is a r²SCAN calculation of a relaxed structure of EuAsPt, from the Materials Project database.

Computed properties:
As for the total DFT energy (no corrections): -36.155 eV per atom.

abc: 4.232 4.232 14.946
angles: 90.00 90.00 90.00
Space group I4_1md (No. 109)
One atom of each set of equivalent atoms:
Eu (0.000, 0.000, 0.000) (multiplicity 4)
As (0.000, 0.000, 0.582) (multiplicity 4)
Pt (0.000, 0.000, 0.416) (multiplicity 4)

***

# 6
The following is a r²SCAN calculation of a relaxed structure of EuAs2Rh2, from the Materials Project database.

Computed properties:
As for the total DFT energy (no corrections): -24.159 eV per atom.

abc: 4.017 4.017 11.927
angles: 90.00 90.00 90.00
Space group I4/mmm (No. 139)
One atom of each set of equivalent atoms:
Eu (0.000, 0.000, 0.000) (multiplicity 2)
As (0.000, 0.000, 0.367) (multiplicity 4)
Rh (0.000, 0.500, 0.250) (multiplicity 4)